# 1
Density functional theory data (r2SCAN) for a relaxed EuZrF6 crystal.

## Properties
* E_form: -32.781 eV per formula unit

a b c (Å): 6.6517 6.6517 5.3283
angles (deg): 90.00 90.00 111.04
Last column: nearest neighbours and their distance in Å.
Fractional coordinates of all 16 atoms:
F 0.4243 0.5757 0.1554  2 Zr 2.22, 3 F 2.34-2.48
Zr 0.2500 0.2500 0.0000  8 F 2.04-2.22
F 0.8173 0.5600 0.2620  1 Zr 2.04
F 0.3173 0.0600 0.7380  1 Zr 2.04
F 0.6827 0.9400 0.2620  1 Zr 2.04
F 0.1827 0.4400 0.7380  1 Zr 2.04
F 0.5600 0.8173 0.7380  1 Zr 2.04
F 0.4400 0.1827 0.2620  1 Zr 2.04
F 0.0600 0.3173 0.2620  1 Zr 2.04
Zr 0.7500 0.7500 0.0000  8 F 2.04-2.22
F 0.0757 0.9243 0.1554  2 Zr 2.22, 3 F 2.34-2.48
Eu 0.7500 0.2500 0.5466  6 F 2.47-2.49
F 0.9243 0.0757 0.8446  2 Zr 2.22, 3 F 2.34-2.48
F 0.9400 0.6827 0.7380  1 Zr 2.04
F 0.5757 0.4243 0.8446  2 Zr 2.22, 3 F 2.34-2.48
Eu 0.2500 0.7500 0.4534  6 F 2.47-2.49

***

# 2
Density functional theory data (r2SCAN) for a relaxed Eu2FeH6 crystal.

## Properties
* E_form: -5.228 eV per formula unit

a b c (Å): 5.1404 5.1404 5.1404
angles (deg): 60.00 60.00 60.00
Last column: nearest neighbours and their distance in Å.
Fractional coordinates of all 9 atoms:
Eu 0.2500 0.2500 0.2500  12 H 2.58
H 0.2223 0.7777 0.7777  1 Fe 1.62
Eu 0.7500 0.7500 0.7500  12 H 2.58
H 0.7777 0.7777 0.2223  1 Fe 1.62
H 0.2223 0.2223 0.7777  1 Fe 1.62
H 0.2223 0.7777 0.2223  1 Fe 1.62
Fe 0.0000 0.0000 0.0000  6 H 1.62
H 0.7777 0.2223 0.2223  1 Fe 1.62
H 0.7777 0.2223 0.7777  1 Fe 1.62

***

# 3
Density functional theory data (r2SCAN) for a relaxed SrEu2Fe2O7 crystal.

## Properties
* E_form: -30.617 eV per formula unit

a b c (Å): 5.4326 5.4233 10.3477
angles (deg): 90.00 74.78 90.00
Last column: nearest neighbours and their distance in Å.
Fractional coordinates of all 24 atoms:
O 0.4340 0.7500 0.6000  1 Fe 2.05
Fe 0.1531 0.7500 0.1954  6 O 1.92-2.05
O 0.0978 0.0000 0.8045  2 Fe 1.92
Fe 0.3485 0.7500 0.8046  6 O 1.92-2.05
Sr 0.2484 0.2500 0.0000  12 O 2.66-2.81
Eu 0.0614 0.2500 0.3660  5 O 2.34-2.55
O 0.0978 0.5000 0.8045  2 Fe 1.92
Eu 0.4274 0.2500 0.6340  5 O 2.34-2.55
O 0.2618 0.7500 0.0000  2 Fe 1.95
O 0.3973 0.0000 0.2054  2 Fe 1.92
Eu 0.9386 0.7500 0.6340  5 O 2.34-2.55
O 0.9022 0.0000 0.1955  2 Fe 1.92
O 0.7382 0.2500 0.0000  2 Fe 1.95
O 0.0340 0.7500 0.4000  1 Fe 2.05
Fe 0.8469 0.2500 0.8046  6 O 1.92-2.05
O 0.5660 0.2500 0.4000  1 Fe 2.05
O 0.3973 0.5000 0.2054  2 Fe 1.92
O 0.6027 0.0000 0.7946  2 Fe 1.92
O 0.9022 0.5000 0.1955  2 Fe 1.92
Sr 0.7516 0.7500 0.0000  12 O 2.66-2.81
O 0.9660 0.2500 0.6000  1 Fe 2.05
Fe 0.6515 0.2500 0.1954  6 O 1.92-2.05
Eu 0.5726 0.7500 0.3660  5 O 2.34-2.55
O 0.6027 0.5000 0.7946  2 Fe 1.92

***

# 4
Density functional theory data (r2SCAN) for a relaxed EuFe4P12 crystal.

## Properties
* E_form: -8.493 eV per formula unit

a b c (Å): 6.7410 6.7410 6.7410
angles (deg): 109.47 109.47 109.47
Last column: nearest neighbours and their distance in Å.
Fractional coordinates of all 17 atoms:
P 0.6469 0.4975 0.8505  2 Fe 2.25, 2 P 2.29-2.33
P 0.5025 0.1495 0.3531  2 Fe 2.25, 2 P 2.29-2.33
P 0.7964 0.1495 0.6469  2 Fe 2.25, 2 P 2.29-2.33
P 0.1495 0.3531 0.5025  2 Fe 2.25, 2 P 2.29-2.33
Fe 0.5000 0.0000 0.0000  6 P 2.25
Fe 0.5000 0.5000 0.5000  6 P 2.25
Fe 0.0000 0.0000 0.5000  6 P 2.25
P 0.8505 0.3531 0.2036  2 Fe 2.25, 2 P 2.29-2.33
P 0.4975 0.8505 0.6469  2 Fe 2.25, 2 P 2.29-2.33
Fe 0.0000 0.5000 0.0000  6 P 2.25
P 0.3531 0.2036 0.8505  2 Fe 2.25, 2 P 2.29-2.33
P 0.6469 0.7964 0.1495  2 Fe 2.25, 2 P 2.29-2.33
P 0.2036 0.8505 0.3531  2 Fe 2.25, 2 P 2.29-2.33
P 0.1495 0.6469 0.7964  2 Fe 2.25, 2 P 2.29-2.33
P 0.8505 0.6469 0.4975  2 Fe 2.25, 2 P 2.29-2.33
Eu 0.0000 0.0000 0.0000  12 P 2.98
P 0.3531 0.5025 0.1495  2 Fe 2.25, 2 P 2.29-2.33